Material: U6Cu2S13
Method: DFT, PBE
State: optimized geometry

## Properties
MP2020-corrected energy, eV/f.u.: -162.3
Crystal system: monoclinic
Formation energy, meV/atom: -1553

a = 8.030 Å, b = 8.030 Å, c = 14.231 Å
α = 81.25°, β = 81.25°, γ = 100.23°
Fractional coordinates of all 42 atoms:
S: 0.688 0.648 0.547
S: 0.938 0.289 0.026
S: 0.278 0.511 0.665
S: 0.648 0.688 0.047
S: 0.857 0.931 0.667
S: 0.062 0.711 0.974
S: 0.330 0.934 0.086
S: 0.066 0.670 0.414
S: 0.670 0.066 0.914
S: 0.069 0.143 0.833
S: 0.934 0.330 0.586
S: 0.514 0.846 0.297
S: 0.828 0.172 0.250
S: 0.143 0.069 0.333
S: 0.172 0.828 0.750
S: 0.489 0.722 0.835
S: 0.846 0.514 0.797
S: 0.722 0.489 0.335
S: 0.154 0.486 0.203
S: 0.289 0.938 0.526
S: 0.312 0.352 0.453
S: 0.486 0.154 0.703
S: 0.352 0.312 0.953
S: 0.711 0.062 0.474
S: 0.511 0.278 0.165
S: 0.931 0.857 0.167
U: 0.835 0.823 0.858
U: 0.986 0.332 0.390
U: 0.157 0.491 0.857
U: 0.177 0.165 0.642
U: 0.014 0.668 0.610
U: 0.491 0.157 0.357
U: 0.332 0.986 0.890
U: 0.668 0.014 0.110
U: 0.823 0.835 0.358
U: 0.843 0.509 0.143
U: 0.165 0.177 0.142
U: 0.509 0.843 0.643
Cu: 0.327 0.614 0.371
Cu: 0.673 0.386 0.629
Cu: 0.386 0.673 0.129
Cu: 0.614 0.327 0.871



Material: V2CuS4
Method: DFT, PBE
State: optimized geometry

## Properties
MP2020-corrected energy, eV/f.u.: -46.1
Crystal system: cubic
Formation energy, meV/atom: -1043

a = 6.981 Å, b = 6.981 Å, c = 6.981 Å
α = 60.00°, β = 60.00°, γ = 60.00°
Fractional coordinates of all 14 atoms:
S: 0.881 0.881 0.357
S: 0.369 0.893 0.369
S: 0.369 0.369 0.369
S: 0.357 0.881 0.881
S: 0.881 0.881 0.881
S: 0.881 0.357 0.881
S: 0.893 0.369 0.369
S: 0.369 0.369 0.893
V: 0.125 0.125 0.125
V: 0.625 0.125 0.125
V: 0.125 0.125 0.625
V: 0.125 0.625 0.125
Cu: 0.750 0.750 0.750
Cu: 0.500 0.500 0.500



Material: VCuS4
Method: DFT, PBE
State: optimized geometry

## Properties
MP2020-corrected energy, eV/f.u.: -33.0
Crystal system: orthorhombic
Formation energy, meV/atom: -541

a = 6.826 Å, b = 6.826 Å, c = 6.826 Å
α = 121.51°, β = 118.39°, γ = 90.11°
Fractional coordinates of all 12 atoms:
S: 0.730 0.746 0.984
S: 0.263 0.747 0.984
S: 0.737 0.254 0.484
S: 0.270 0.254 0.016
S: 0.737 0.253 0.016
S: 0.737 0.721 0.484
S: 0.263 0.746 0.516
S: 0.263 0.279 0.516
Cu: 0.872 0.122 0.750
Cu: 0.128 0.878 0.250
V: 0.500 0.500 0.500
V: 0.500 0.000 0.000



Material: V2CuS4
Method: DFT, PBE
State: optimized geometry

## Properties
MP2020-corrected energy, eV/f.u.: -46.2
Crystal system: orthorhombic
Formation energy, meV/atom: -1054

a = 6.982 Å, b = 6.983 Å, c = 6.982 Å
α = 89.94°, β = 120.05°, γ = 120.04°
Fractional coordinates of all 14 atoms:
S: 0.769 0.280 0.511
S: 0.256 0.254 0.510
S: 0.232 0.741 0.973
S: 0.745 0.742 0.997
S: 0.768 0.741 0.510
S: 0.230 0.741 0.511
S: 0.255 0.252 0.997
S: 0.744 0.254 0.999
Cu: 0.500 0.877 0.377
Cu: 0.000 0.126 0.126
V: 0.732 0.491 0.759
V: 0.731 0.492 0.223
V: 0.269 0.492 0.761
V: 0.268 0.027 0.759